(1)
PBE-GGA Na10Zn4Ga4Si3S9O48, relaxed; ΔH_f (0 K) = -2.1260 eV per atom; total DFT energy (no corrections) = -1362.696 eV/cell; crystal system = triclinic
1.0
17.658 -0.051 0.333
-4.437 7.680 0.019
0.429 0.304 22.131
O Zn Si S Na Ga
144 12 9 27 30 12
Direct
0.518 0.217 0.196
0.841 0.168 0.746
0.252 0.684 0.256
0.428 0.361 0.922
0.349 0.545 0.529
0.572 0.480 0.575
0.756 0.875 0.078
0.483 0.165 0.589
0.521 0.819 0.696
0.752 0.357 0.419
0.567 0.636 0.356
0.009 0.203 0.912
0.061 0.486 0.859
0.928 0.496 0.423
0.255 0.644 0.580
0.009 0.815 0.412
0.422 0.535 0.745
0.672 0.844 0.581
0.070 0.480 0.574
0.738 0.149 0.242
0.021 0.822 0.697
0.922 0.313 0.245
0.761 0.885 0.366
0.176 0.850 0.578
0.091 0.218 0.699
0.489 0.787 0.805
0.109 0.181 0.806
0.509 0.204 0.912
0.729 0.157 0.523
0.896 0.828 0.186
0.906 0.995 0.411
0.176 0.504 0.078
0.987 0.785 0.806
0.610 0.031 0.304
0.059 0.635 0.359
0.079 0.683 0.756
0.237 0.143 0.243
0.904 0.815 0.911
0.897 0.956 0.689
0.923 0.310 0.531
0.924 0.535 0.030
0.087 0.198 0.411
0.752 0.686 0.259
0.227 0.281 0.028
0.325 0.526 0.640
0.153 0.459 0.470
0.068 0.461 0.969
0.324 0.129 0.136
0.234 0.169 0.525
0.157 0.858 0.973
0.490 0.189 0.306
0.822 0.500 0.921
0.069 0.677 0.469
0.918 0.792 0.305
0.739 0.113 0.644
0.850 0.543 0.530
0.337 0.164 0.748
0.928 0.361 0.921
0.824 0.130 0.136
0.727 0.280 0.027
0.945 0.524 0.139
0.272 0.850 0.472
0.756 0.642 0.579
0.400 0.985 0.410
0.263 0.635 0.862
0.651 0.833 0.255
0.091 0.984 0.913
0.413 0.022 0.084
0.399 0.828 0.187
0.085 0.142 0.093
0.247 0.366 0.418
0.094 0.966 0.196
0.258 0.879 0.363
0.989 0.193 0.306
0.608 0.183 0.806
0.779 0.868 0.475
0.398 0.959 0.689
0.071 0.660 0.074
0.763 0.638 0.862
0.582 0.689 0.756
0.179 0.880 0.861
0.409 0.786 0.309
0.273 0.686 0.972
0.594 0.199 0.413
0.594 0.973 0.196
0.585 0.143 0.092
0.737 0.331 0.744
0.352 0.157 0.026
0.318 0.135 0.421
0.680 0.879 0.861
0.445 0.371 0.637
0.021 0.223 0.197
0.751 0.137 0.919
0.755 0.817 0.758
0.945 0.364 0.640
0.237 0.108 0.645
0.107 0.033 0.304
0.409 0.020 0.809
0.422 0.310 0.245
0.826 0.529 0.641
0.427 0.304 0.530
0.575 0.698 0.477
0.595 0.220 0.697
0.179 0.483 0.359
0.149 0.468 0.759
0.413 0.804 0.585
0.981 0.166 0.586
0.417 0.484 0.424
0.913 0.023 0.084
0.254 0.816 0.757
0.657 0.858 0.972
0.852 0.157 0.026
0.238 0.366 0.145
0.444 0.523 0.138
0.484 0.797 0.084
0.342 0.514 0.247
0.822 0.144 0.421
0.652 0.472 0.759
0.579 0.470 0.252
0.561 0.489 0.861
0.583 0.015 0.592
0.251 0.138 0.919
0.085 0.025 0.590
0.676 0.505 0.078
0.256 0.874 0.078
0.079 0.476 0.254
0.684 0.480 0.360
0.660 0.461 0.471
0.922 0.534 0.746
0.571 0.661 0.074
0.237 0.333 0.743
0.913 0.806 0.584
0.322 0.499 0.922
0.917 0.042 0.806
0.404 0.814 0.912
0.984 0.797 0.084
0.507 0.833 0.413
0.840 0.515 0.246
0.738 0.367 0.145
0.591 0.984 0.912
0.567 0.457 0.971
0.424 0.536 0.030
0.148 0.827 0.259
0.773 0.685 0.971
0.829 0.314 0.679
0.495 0.004 0.850
0.160 0.677 0.518
0.162 0.643 0.017
0.331 0.305 0.681
0.661 0.643 0.016
0.994 0.002 0.850
0.829 0.347 0.182
0.330 0.346 0.182
0.664 0.675 0.514
0.993 0.986 0.349
0.496 0.983 0.350
0.356 0.004 0.752
0.852 0.711 0.251
0.518 0.659 0.418
0.682 0.038 0.585
0.352 0.709 0.250
0.181 0.328 0.086
0.183 0.040 0.584
0.681 0.329 0.086
0.854 0.999 0.751
0.668 0.963 0.918
0.818 0.970 0.418
0.147 0.996 0.251
0.645 0.298 0.752
0.480 0.624 0.081
0.000 0.295 0.252
0.482 0.332 0.583
0.312 0.963 0.417
0.502 0.706 0.752
0.001 0.708 0.752
0.168 0.964 0.918
0.316 0.662 0.918
0.146 0.296 0.752
0.836 0.050 0.082
0.333 0.624 0.584
0.164 0.373 0.417
0.018 0.377 0.917
0.815 0.662 0.917
0.981 0.334 0.583
0.671 0.377 0.417
0.980 0.624 0.081
0.499 0.291 0.251
0.835 0.626 0.584
0.018 0.660 0.417
0.517 0.376 0.918
0.336 0.049 0.082
0.649 0.998 0.249
0.188 0.003 0.743
0.153 0.976 0.080
0.170 0.657 0.166
0.826 0.964 0.586
0.663 0.660 0.663
0.165 0.676 0.660
0.506 0.022 0.997
0.006 0.021 0.998
0.520 0.703 0.577
0.188 0.371 0.246
0.327 0.968 0.588
0.653 0.976 0.080
0.688 0.373 0.246
0.494 0.632 0.258
0.838 0.345 0.332
0.355 0.670 0.412
0.670 0.657 0.167
0.688 0.006 0.744
0.820 0.641 0.746
0.336 0.328 0.334
0.833 0.321 0.835
0.992 0.636 0.253
0.012 0.002 0.499
0.661 0.018 0.423
0.829 0.690 0.090
0.329 0.690 0.090
0.994 0.353 0.752
0.508 0.011 0.498
0.343 0.323 0.832
0.322 0.646 0.745
0.830 0.336 0.487
0.328 0.327 0.984
0.001 0.997 0.647
0.504 0.011 0.651
0.175 0.678 0.318
0.827 0.326 0.984
0.672 0.672 0.321
0.669 0.672 0.819
0.997 0.014 0.152
0.177 0.681 0.821
0.332 0.328 0.482
0.497 0.013 0.152

***

(2)
PBE-GGA Na2Zr4Ga4Si3S9O48, relaxed; ΔH_f (0 K) = -2.4166 eV per atom; total DFT energy (no corrections) = -1428.424 eV/cell; crystal system = triclinic
1.0
-11.683 12.817 -3.065
-2.454 -7.238 4.363
5.938 9.814 19.826
S Ga O Zr Si Na
27 12 144 12 9 6
Direct
0.334 0.618 0.581
0.190 0.331 0.081
0.807 0.654 0.916
0.006 0.720 0.749
0.686 0.322 0.081
0.020 0.669 0.414
0.835 0.051 0.081
0.854 0.716 0.253
0.019 0.384 0.915
0.168 0.374 0.415
0.185 0.049 0.582
0.690 0.048 0.580
0.853 0.991 0.751
0.502 0.714 0.755
0.341 0.049 0.083
0.515 0.653 0.416
0.351 0.987 0.753
0.352 0.714 0.251
0.840 0.633 0.583
0.668 0.961 0.914
0.308 0.959 0.416
0.317 0.673 0.912
0.143 0.298 0.751
0.818 0.963 0.414
0.004 0.292 0.255
0.504 0.288 0.248
0.521 0.372 0.914
0.003 0.001 0.348
0.504 0.007 0.850
0.500 0.964 0.151
0.665 0.654 0.812
0.335 0.329 0.480
0.172 0.687 0.819
0.832 0.338 0.986
0.996 0.012 0.647
0.833 0.326 0.479
0.669 0.663 0.312
0.168 0.676 0.310
0.332 0.331 0.983
0.512 0.194 0.909
0.314 0.136 0.421
0.822 0.522 0.636
0.828 0.141 0.419
0.345 0.535 0.528
0.087 0.200 0.412
0.485 0.177 0.301
0.747 0.139 0.922
0.990 0.800 0.801
0.482 0.159 0.590
0.407 0.793 0.303
0.555 0.625 0.365
0.263 0.169 0.926
0.581 0.699 0.764
0.011 0.828 0.410
0.601 0.019 0.589
0.061 0.492 0.862
0.097 0.022 0.591
0.503 0.807 0.410
0.681 0.879 0.862
0.929 0.360 0.920
0.742 0.160 0.244
0.846 0.152 0.745
0.263 0.687 0.260
0.727 0.160 0.529
0.767 0.696 0.257
0.847 0.539 0.247
0.242 0.171 0.248
0.682 0.487 0.073
0.925 0.543 0.745
0.063 0.641 0.363
0.252 0.873 0.364
0.896 0.822 0.200
0.657 0.853 0.967
0.910 0.023 0.803
0.852 0.552 0.531
0.152 0.472 0.760
0.815 0.494 0.921
0.013 0.212 0.201
0.185 0.492 0.073
0.931 0.354 0.640
0.090 0.214 0.697
0.181 0.877 0.575
0.601 0.025 0.307
0.102 0.183 0.803
0.412 0.298 0.524
0.424 0.310 0.244
0.240 0.129 0.636
0.908 0.980 0.408
0.083 0.698 0.758
0.153 0.822 0.262
0.934 0.511 0.421
0.182 0.484 0.363
0.242 0.355 0.134
0.763 0.362 0.425
0.425 0.494 0.422
0.892 0.962 0.698
0.073 0.457 0.967
0.911 0.295 0.524
0.192 0.885 0.858
0.069 0.634 0.075
0.016 0.826 0.696
0.587 0.962 0.193
0.741 0.353 0.134
0.352 0.153 0.030
0.765 0.839 0.760
0.277 0.699 0.965
0.909 0.794 0.306
0.223 0.159 0.530
0.480 0.819 0.086
0.421 0.038 0.092
0.597 0.174 0.087
0.754 0.634 0.863
0.100 0.182 0.089
0.326 0.516 0.917
0.257 0.642 0.574
0.434 0.357 0.920
0.662 0.476 0.473
0.411 0.528 0.022
0.896 0.811 0.908
0.407 0.023 0.806
0.563 0.485 0.863
0.405 0.836 0.905
0.570 0.685 0.469
0.227 0.294 0.029
0.685 0.878 0.574
0.101 0.037 0.312
0.743 0.315 0.748
0.076 0.698 0.468
0.158 0.846 0.972
0.248 0.355 0.423
0.769 0.684 0.969
0.340 0.147 0.747
0.765 0.662 0.577
0.654 0.486 0.762
0.264 0.870 0.076
0.482 0.789 0.806
0.511 0.811 0.701
0.589 0.200 0.409
0.928 0.497 0.138
0.915 0.531 0.022
0.389 0.819 0.198
0.344 0.536 0.245
0.758 0.873 0.072
0.392 0.967 0.700
0.068 0.490 0.571
0.429 0.507 0.139
0.581 0.461 0.256
0.587 0.203 0.697
0.264 0.829 0.759
0.087 0.971 0.197
0.268 0.855 0.469
0.571 0.507 0.575
0.091 0.989 0.907
0.008 0.206 0.907
0.231 0.315 0.745
0.321 0.124 0.135
0.985 0.149 0.590
0.984 0.177 0.307
0.780 0.861 0.468
0.688 0.510 0.358
0.763 0.882 0.362
0.654 0.812 0.265
0.422 0.532 0.749
0.577 0.454 0.967
0.158 0.461 0.468
0.259 0.641 0.859
0.926 0.317 0.249
0.922 0.806 0.593
0.511 0.201 0.196
0.601 0.165 0.811
0.742 0.129 0.635
0.913 0.038 0.090
0.846 0.154 0.027
0.724 0.290 0.028
0.395 0.980 0.409
0.316 0.507 0.634
0.586 0.972 0.911
0.084 0.463 0.264
0.816 0.125 0.133
0.430 0.359 0.639
0.567 0.646 0.070
0.983 0.807 0.089
0.413 0.788 0.591
0.335 0.332 0.189
0.164 0.677 0.024
0.834 0.334 0.191
0.006 0.989 0.145
0.338 0.335 0.687
0.660 0.663 0.025
0.511 0.014 0.357
0.004 0.998 0.860
0.664 0.655 0.521
0.506 0.022 0.645
0.160 0.658 0.523
0.833 0.336 0.688
0.970 0.318 0.581
0.972 0.614 0.080
0.646 0.296 0.757
0.475 0.334 0.579
0.645 0.981 0.251
0.145 0.996 0.257
0.678 0.391 0.415
0.468 0.623 0.080
0.180 0.973 0.917
0.331 0.327 0.842
0.329 0.324 0.334
0.497 0.989 0.004
0.826 0.330 0.835
0.823 0.322 0.338
0.996 0.005 0.500